# 1
This record from the Materials Project describes a geometry-optimized TlB3O5 structure. The functional is meta-GGA r2SCAN.

Values from the calculation:
Final energy: -504.882 eV/cell
SG: C2/c (15)

Cell: 6.6643 6.6643 9.1216 Å, 100.05 100.05 83.25°
Atoms (fractional coordinates):
Tl 0.0683 0.7681 0.5597
Tl 0.2319 0.9317 0.9403
Tl 0.7681 0.0683 0.0597
Tl 0.9317 0.2319 0.4403
B 0.0725 0.5699 0.1804
B 0.2896 0.3094 0.7653
B 0.3094 0.2896 0.2653
B 0.3883 0.4648 0.0664
B 0.4301 0.9275 0.3196
B 0.4648 0.3883 0.5664
B 0.5352 0.6117 0.4336
B 0.5699 0.0725 0.6804
B 0.6117 0.5352 0.9336
B 0.6906 0.7104 0.7347
B 0.7104 0.6906 0.2347
B 0.9275 0.4301 0.8196
O 0.0916 0.2901 0.8031
O 0.1024 0.3980 0.2476
O 0.2146 0.6063 0.0973
O 0.2836 0.4032 0.6319
O 0.2901 0.0916 0.3031
O 0.3937 0.7854 0.4027
O 0.3980 0.1024 0.7476
O 0.4032 0.2836 0.1319
O 0.4089 0.4328 0.9013
O 0.4328 0.4089 0.4013
O 0.5672 0.5911 0.5987
O 0.5911 0.5672 0.0987
O 0.5968 0.7164 0.8681
O 0.6020 0.8976 0.2524
O 0.6063 0.2146 0.5973
O 0.7099 0.9084 0.6969
O 0.7164 0.5968 0.3681
O 0.7854 0.3937 0.9027
O 0.8976 0.6020 0.7524
O 0.9084 0.7099 0.1969

***

# 2
This record from the Materials Project describes a geometry-optimized UB2O6 structure. The functional is meta-GGA r2SCAN.

Values from the calculation:
Final energy: -312.952 eV/cell
SG: C2/c (15)

Cell: 6.6041 6.6041 10.3667 Å, 120.23 120.23 36.91°
Atoms (fractional coordinates):
U 0.2428 0.7572 0.7500
U 0.7572 0.2428 0.2500
B 0.1502 0.4529 0.2518
B 0.4529 0.1502 0.7518
B 0.5471 0.8498 0.2482
B 0.8498 0.5471 0.7482
O 0.1200 0.4774 0.7632
O 0.1382 0.6590 0.2460
O 0.1564 0.6596 0.5465
O 0.3404 0.8436 0.9535
O 0.3410 0.8618 0.2540
O 0.4774 0.1200 0.2632
O 0.5226 0.8800 0.7368
O 0.6590 0.1382 0.7460
O 0.6596 0.1564 0.0465
O 0.8436 0.3404 0.4535
O 0.8618 0.3410 0.7540
O 0.8800 0.5226 0.2368

***

# 3
This record from the Materials Project describes a geometry-optimized VBO3 structure. The functional is meta-GGA r2SCAN.

Values from the calculation:
Final energy: -105.135 eV/cell
SG: R-3c (167)

Cell: 5.5221 5.5221 5.5221 Å, 49.57 49.57 49.57°
Atoms (fractional coordinates):
V 0.0000 0.0000 0.0000
V 0.5000 0.5000 0.5000
B 0.2500 0.2500 0.2500
B 0.7500 0.7500 0.7500
O 0.0480 0.7500 0.4520
O 0.2500 0.5480 0.9520
O 0.4520 0.0480 0.7500
O 0.5480 0.9520 0.2500
O 0.7500 0.4520 0.0480
O 0.9520 0.2500 0.5480

***

# 4
This record from the Materials Project describes a geometry-optimized ZnB4O7 structure. The functional is meta-GGA r2SCAN.

Values from the calculation:
Final energy: -876.251 eV/cell
SG: Pbca (61)

Cell: 8.1270 8.6462 13.7565 Å, 90.00 90.00 90.00°
Atoms (fractional coordinates):
Zn 0.1065 0.1246 0.1187
Zn 0.1065 0.3754 0.6187
Zn 0.3935 0.6246 0.1187
Zn 0.3935 0.8754 0.6187
Zn 0.6065 0.1246 0.3813
Zn 0.6065 0.3754 0.8813
Zn 0.8935 0.6246 0.3813
Zn 0.8935 0.8754 0.8813
B 0.0332 0.1472 0.7700
B 0.0332 0.3528 0.2700
B 0.0345 0.5855 0.1687
B 0.0345 0.9145 0.6687
B 0.0862 0.6967 0.5635
B 0.0862 0.8033 0.0635
B 0.1609 0.1370 0.4633
B 0.1609 0.3630 0.9633
B 0.3391 0.6370 0.4633
B 0.3391 0.8630 0.9633
B 0.4138 0.1967 0.5635
B 0.4138 0.3033 0.0635
B 0.4655 0.0855 0.1687
B 0.4655 0.4145 0.6687
B 0.4668 0.6472 0.7700
B 0.4668 0.8528 0.2700
B 0.5332 0.1472 0.7300
B 0.5332 0.3528 0.2300
B 0.5345 0.5855 0.3313
B 0.5345 0.9145 0.8313
B 0.5862 0.6967 0.9365
B 0.5862 0.8033 0.4365
B 0.6609 0.1370 0.0367
B 0.6609 0.3630 0.5367
B 0.8391 0.6370 0.0367
B 0.8391 0.8630 0.5367
B 0.9138 0.1967 0.9365
B 0.9138 0.3033 0.4365
B 0.9655 0.0855 0.3313
B 0.9655 0.4145 0.8313
B 0.9668 0.6472 0.7300
B 0.9668 0.8528 0.2300
O 0.0179 0.1972 0.2486
O 0.0179 0.3028 0.7486
O 0.0236 0.5906 0.6421
O 0.0236 0.9094 0.1421
O 0.0595 0.2438 0.9978
O 0.0595 0.2562 0.4978
O 0.1055 0.0531 0.7050
O 0.1055 0.4469 0.2050
O 0.1134 0.0530 0.3860
O 0.1134 0.4470 0.8860
O 0.1560 0.6680 0.1096
O 0.1560 0.8320 0.6096
O 0.1915 0.6061 0.5051
O 0.1915 0.8939 0.0051
O 0.3085 0.1061 0.5051
O 0.3085 0.3939 0.0051
O 0.3440 0.1680 0.1096
O 0.3440 0.3320 0.6096
O 0.3866 0.5530 0.3860
O 0.3866 0.9470 0.8860
O 0.3945 0.5531 0.7050
O 0.3945 0.9469 0.2050
O 0.4405 0.7438 0.9978
O 0.4405 0.7562 0.4978
O 0.4764 0.0906 0.6421
O 0.4764 0.4094 0.1421
O 0.4821 0.6972 0.2486
O 0.4821 0.8028 0.7486
O 0.5179 0.1972 0.2514
O 0.5179 0.3028 0.7514
O 0.5236 0.5906 0.8579
O 0.5236 0.9094 0.3579
O 0.5595 0.2438 0.5022
O 0.5595 0.2562 0.0022
O 0.6055 0.0531 0.7950
O 0.6055 0.4469 0.2950
O 0.6134 0.0530 0.1140
O 0.6134 0.4470 0.6140
O 0.6560 0.6680 0.3904
O 0.6560 0.8320 0.8904
O 0.6915 0.6061 0.9949
O 0.6915 0.8939 0.4949
O 0.8085 0.1061 0.9949
O 0.8085 0.3939 0.4949
O 0.8440 0.1680 0.3904
O 0.8440 0.3320 0.8904
O 0.8866 0.5530 0.1140
O 0.8866 0.9470 0.6140
O 0.8945 0.5531 0.7950
O 0.8945 0.9469 0.2950
O 0.9405 0.7438 0.5022
O 0.9405 0.7562 0.0022
O 0.9764 0.0906 0.8579
O 0.9764 0.4094 0.3579
O 0.9821 0.6972 0.2514
O 0.9821 0.8028 0.7514

***

# 5
This record from the Materials Project describes a geometry-optimized ZrB2O5 structure. The functional is meta-GGA r2SCAN.

Values from the calculation:
Final energy: -366.675 eV/cell
SG: P2_1/c (14)

Cell: 4.4074 6.9418 8.9967 Å, 90.00 90.89 90.00°
Atoms (fractional coordinates):
Zr 0.0012 0.1125 0.1710
Zr 0.0012 0.3875 0.6710
Zr 0.9988 0.6125 0.3290
Zr 0.9988 0.8875 0.8290
B 0.4644 0.0870 0.6660
B 0.4644 0.4130 0.1660
B 0.4729 0.7298 0.5767
B 0.4729 0.7702 0.0767
B 0.5271 0.2298 0.9233
B 0.5271 0.2702 0.4233
B 0.5356 0.5870 0.8340
B 0.5356 0.9130 0.3340
O 0.2140 0.5906 0.8208
O 0.2140 0.9094 0.3208
O 0.2323 0.5975 0.5325
O 0.2323 0.9025 0.0325
O 0.3070 0.1551 0.8077
O 0.3070 0.3449 0.3077
O 0.3312 0.6043 0.1499
O 0.3312 0.8957 0.6499
O 0.3486 0.2211 0.5540
O 0.3486 0.2789 0.0540
O 0.6514 0.7211 0.9460
O 0.6514 0.7789 0.4460
O 0.6688 0.1043 0.3501
O 0.6688 0.3957 0.8501
O 0.6930 0.6551 0.6923
O 0.6930 0.8449 0.1923
O 0.7677 0.0975 0.9675
O 0.7677 0.4025 0.4675
O 0.7860 0.0906 0.6792
O 0.7860 0.4094 0.1792

***

# 6
This record from the Materials Project describes a geometry-optimized BOs structure. The functional is meta-GGA r2SCAN.

Values from the calculation:
Final energy: -60.876 eV/cell
SG: P-6m2 (187)

Cell: 2.8883 2.8883 2.8688 Å, 90.00 90.00 120.00°
Atoms (fractional coordinates):
B 0.0000 0.0000 0.0000
Os 0.3333 0.6667 0.5000